The following is a GGA-PBE calculation of an optimized crystal structure of Mo3Se2S4, from Materials Project.

Computed properties:
As for the corrected total energy (MP2020 scheme): -7.243 eV/atom. For the total energy, the calculation gives -0.2580 hartree per atom. The formation energy comes out at -1.01 eV/atom. As for the space-group type: P-6m2 (187).

a b c (Å): 3.231 3.231 29.668
angles (deg): 90.00 90.00 120.00
Sites, in units of the cell vectors:
S1 0.333 0.667 0.716
S2 0.333 0.667 0.821
S3 0.333 0.667 0.179
S4 0.333 0.667 0.284
Se1 0.000 0.000 0.942
Se2 0.000 0.000 0.058
Mo1 0.333 0.667 0.000
Mo2 0.000 0.000 0.769
Mo3 0.000 0.000 0.231